# Nd6Ta4Al43 (meta-GGA r2SCAN, optimized geometry)
# E_form ... -0.330 eV/atom
# Magnetization ... 0.000 μB/atom
data_Nd6Ta4Al43
_chemical_formula_sum 'Nd12 Ta8 Al86'
_cell_length_a 11.1183
_cell_length_b 11.1183
_cell_length_c 17.9708
_cell_angle_alpha 90.00
_cell_angle_beta 90.00
_cell_angle_gamma 120.00
_symmetry_space_group_name_H-M 'P 63/m c m'
_symmetry_Int_Tables_number 193
_symmetry_space_group_name_Hall '-P 6c 2'
loop_
_atom_site_label
_atom_site_type_symbol
_atom_site_fract_x
_atom_site_fract_y
_atom_site_fract_z
Nd1 Nd 0.0000 0.4698 0.0959
Ta1 Ta 0.0000 0.0000 0.0000
Ta2 Ta 0.0000 0.2722 0.2500
Al1 Al 0.0000 0.1470 0.7500
Al2 Al 0.0000 0.1577 0.1158
Al3 Al 0.0000 0.2519 0.5299
Al4 Al 0.1538 0.5554 0.2500
Al5 Al 0.1579 0.3935 0.6644
Al6 Al 0.2474 0.4948 0.0000
Al7 Al 0.3333 0.6667 0.1256